[1]
Compound: Ba4PrLuCu6O14
Source: the Materials Project
Functional: GGA-PBE
Structure: optimized geometry Values from VASP.

```
&SYSTEM
  ibrav = 0, nat = 26, ntyp = 5
/
ATOMIC_SPECIES
Pr 140.91 Pr.upf
Ba 137.33 Ba.upf
O 16.00 O.upf
Cu 63.55 Cu.upf
Lu 174.97 Lu.upf
CELL_PARAMETERS angstrom
-1.096 -0.124 3.692
3.030 -2.376 0.820
13.590 18.941 4.670
ATOMIC_POSITIONS crystal
Pr 0.500 0.500 0.750
Ba 0.500 0.500 0.092
O 0.000 0.000 0.081
O 0.000 0.500 0.002
Cu 0.000 0.000 0.321
Cu 0.000 0.000 0.828
O 0.000 0.000 0.419
O 0.000 0.500 0.498
O 0.000 0.500 0.684
Ba 0.500 0.500 0.911
Cu 0.000 0.000 0.179
O 0.000 0.500 0.816
O 0.000 0.500 0.192
Lu 0.500 0.500 0.250
O 0.000 0.000 0.922
Ba 0.500 0.500 0.589
O 0.000 0.500 0.308
Cu 0.000 0.000 0.001
O 0.500 0.000 0.815
Cu 0.000 0.000 0.672
O 0.500 0.000 0.193
Cu 0.000 0.000 0.499
O 0.500 0.000 0.307
Ba 0.500 0.500 0.408
O 0.500 0.000 0.685
O 0.000 0.000 0.578
```

Computed properties:
Symmetry = No. 47
DFT formation energy = -2.16 eV/atom

***

[2]
Compound: Ba8Y3LuCu16O32
Source: the Materials Project
Functional: GGA-PBE
Structure: optimized geometry Values from VASP.

```
&SYSTEM
  ibrav = 0, nat = 60, ntyp = 5
/
ATOMIC_SPECIES
Cu 63.55 Cu.upf
Ba 137.33 Ba.upf
O 16.00 O.upf
Y 88.91 Y.upf
Lu 174.97 Lu.upf
CELL_PARAMETERS angstrom
-2.394 -2.651 -1.534
-1.121 -1.056 3.573
-40.323 37.356 -1.613
ATOMIC_POSITIONS crystal
Cu 0.000 0.500 0.856
Ba 0.500 0.000 0.682
O 0.000 0.000 0.276
O 0.000 0.500 0.109
Cu 0.000 0.500 0.219
O 0.000 0.000 0.072
Cu 0.000 0.500 0.144
O 0.000 0.000 0.224
Ba 0.500 0.500 0.432
O 0.000 0.000 0.141
Cu 0.000 0.500 0.356
Cu 0.000 0.500 0.281
O 0.500 0.000 0.975
Ba 0.500 0.500 0.068
O 0.000 0.500 0.391
O 0.000 0.500 0.177
O 0.000 0.500 0.025
O 0.000 0.000 0.641
Cu 0.000 0.500 0.781
Cu 0.000 0.000 0.394
O 0.000 0.000 0.928
Y 0.500 0.000 0.250
O 0.000 0.500 0.609
O 0.500 0.000 0.025
Cu 0.000 0.000 0.030
O 0.000 0.500 0.823
O 0.000 0.000 0.573
Lu 0.500 0.500 0.000
Cu 0.000 0.000 0.606
O 0.000 0.500 0.474
Cu 0.000 0.000 0.106
Cu 0.000 0.000 0.970
O 0.500 0.000 0.474
Y 0.500 0.500 0.500
Ba 0.500 0.000 0.818
Ba 0.500 0.500 0.568
O 0.000 0.500 0.975
O 0.500 0.000 0.526
Cu 0.000 0.000 0.469
Cu 0.000 0.500 0.644
Ba 0.500 0.000 0.182
Y 0.500 0.000 0.750
O 0.000 0.000 0.724
Cu 0.000 0.000 0.894
O 0.000 0.500 0.323
O 0.000 0.000 0.427
Ba 0.500 0.000 0.318
O 0.000 0.500 0.526
O 0.000 0.500 0.891
O 0.500 0.500 0.724
O 0.500 0.500 0.224
O 0.500 0.500 0.776
Ba 0.500 0.500 0.932
Cu 0.000 0.500 0.719
O 0.000 0.000 0.776
O 0.000 0.000 0.859
O 0.500 0.500 0.276
O 0.000 0.500 0.677
Cu 0.000 0.000 0.531
O 0.000 0.000 0.359
```

Computed properties:
Symmetry = No. 47
DFT formation energy = -2.03 eV/atom

***

[3]
Compound: BaMg6Cu
Source: the Materials Project
Functional: GGA-PBE
Structure: optimized geometry Values from VASP.

```
&SYSTEM
  ibrav = 0, nat = 8, ntyp = 3
/
ATOMIC_SPECIES
Cu 63.55 Cu.upf
Mg 24.30 Mg.upf
Ba 137.33 Ba.upf
CELL_PARAMETERS angstrom
-0.762 -1.309 -7.431
0.159 -4.696 5.952
-4.848 0.381 0.430
ATOMIC_POSITIONS crystal
Cu 0.109 0.891 0.000
Mg 0.820 0.677 0.500
Mg 0.694 0.306 0.000
Mg 0.200 0.304 0.000
Ba 0.287 0.713 0.500
Mg 0.696 0.800 0.000
Mg 0.323 0.180 0.500
Mg 0.872 0.128 0.500
```

Computed properties:
Symmetry = No. 38
E above lowest polymorph = 12.2 meV/atom
DFT formation energy = 0.09 eV/atom

***

[4]
Compound: BaMg6Cu
Source: the Materials Project
Functional: GGA-PBE
Structure: optimized geometry Values from VASP.

```
&SYSTEM
  ibrav = 0, nat = 16, ntyp = 3
/
ATOMIC_SPECIES
Mg 24.30 Mg.upf
Ba 137.33 Ba.upf
Cu 63.55 Cu.upf
CELL_PARAMETERS angstrom
-0.856 -4.648 -1.600
4.454 -2.058 3.596
-9.240 -1.869 10.376
ATOMIC_POSITIONS crystal
Mg 0.500 0.243 0.442
Ba 0.500 0.000 0.707
Mg 0.000 0.759 0.074
Mg 0.500 0.257 0.942
Mg 0.000 0.741 0.574
Mg 0.500 0.743 0.942
Mg 0.000 0.500 0.374
Mg 0.000 0.500 0.790
Mg 0.500 0.757 0.442
Cu 0.500 0.500 0.598
Mg 0.000 0.241 0.074
Mg 0.000 0.000 0.874
Cu 0.500 0.000 0.098
Ba 0.500 0.500 0.207
Mg 0.000 0.259 0.574
Mg 0.000 0.000 0.290
```

Computed properties:
E above lowest polymorph = 0.0 meV/atom
DFT formation energy = 0.08 eV/atom

***

[5]
Compound: Ba2NdMgCu3O7
Source: the Materials Project
Functional: GGA-PBE
Structure: optimized geometry Values from VASP.

```
&SYSTEM
  ibrav = 0, nat = 14, ntyp = 5
/
ATOMIC_SPECIES
Cu 63.55 Cu.upf
O 16.00 O.upf
Mg 24.30 Mg.upf
Nd 144.24 Nd.upf
Ba 137.33 Ba.upf
CELL_PARAMETERS angstrom
4.019 0.000 0.000
0.000 3.760 0.000
0.000 0.000 14.580
ATOMIC_POSITIONS crystal
Cu 0.000 0.000 0.412
O 0.000 0.500 0.613
O 0.000 0.000 0.206
O 0.000 0.500 0.406
O 0.000 0.500 0.984
O 0.500 0.000 0.417
Mg 0.000 0.500 0.273
Nd 0.500 0.500 0.518
Ba 0.500 0.500 0.776
Ba 0.500 0.500 0.087
O 0.000 0.000 0.805
Cu 0.000 0.000 0.640
Cu 0.000 0.000 0.938
O 0.500 0.000 0.631
```

Computed properties:
Symmetry = No. 25
E above lowest polymorph = 0.0 meV/atom
DFT formation energy = -2.05 eV/atom

***

[6]
Compound: Ba2NdMgCu3O7
Source: the Materials Project
Functional: GGA-PBE
Structure: optimized geometry Values from VASP.

```
&SYSTEM
  ibrav = 0, nat = 14, ntyp = 5
/
ATOMIC_SPECIES
Mg 24.30 Mg.upf
Nd 144.24 Nd.upf
O 16.00 O.upf
Cu 63.55 Cu.upf
Ba 137.33 Ba.upf
CELL_PARAMETERS angstrom
-0.684 3.574 -1.016
-1.314 -1.260 -3.548
-13.483 -1.055 5.367
ATOMIC_POSITIONS crystal
Mg 0.500 0.000 0.274
Nd 0.500 0.500 0.521
O 0.500 0.000 0.407
O 0.500 0.000 0.617
O 0.000 0.000 0.804
Cu 0.000 0.000 0.642
Ba 0.500 0.500 0.780
O 0.000 0.000 0.207
Cu 0.000 0.000 0.413
Cu 0.000 0.000 0.936
O 0.000 0.500 0.973
Ba 0.500 0.500 0.086
O 0.000 0.500 0.419
O 0.000 0.500 0.632
```

Computed properties:
Symmetry = No. 25
E above lowest polymorph = 8.8 meV/atom
DFT formation energy = -2.04 eV/atom

***

[7]
Compound: Ba2NdMgCu3O7
Source: the Materials Project
Functional: GGA-PBE
Structure: optimized geometry Values from VASP.

```
&SYSTEM
  ibrav = 0, nat = 14, ntyp = 5
/
ATOMIC_SPECIES
Ba 137.33 Ba.upf
O 16.00 O.upf
Cu 63.55 Cu.upf
Nd 144.24 Nd.upf
Mg 24.30 Mg.upf
CELL_PARAMETERS angstrom
3.746 0.000 0.000
0.000 4.002 0.000
0.000 0.000 14.040
ATOMIC_POSITIONS crystal
Ba 0.500 0.500 0.742
O 0.500 0.000 0.610
Cu 0.000 0.000 0.356
Nd 0.500 0.500 0.480
Cu 0.000 0.000 0.602
Cu 0.000 0.000 0.062
Mg 0.500 0.000 0.929
O 0.000 0.500 0.028
O 0.000 0.500 0.602
O 0.000 0.000 0.199
O 0.500 0.000 0.388
Ba 0.500 0.500 0.209
O 0.000 0.500 0.373
O 0.000 0.000 0.848
```

Computed properties:
Symmetry = No. 25
E above lowest polymorph = 54.8 meV/atom
DFT formation energy = -2.00 eV/atom

***

[8]
Compound: BaMgCuO2
Source: the Materials Project
Functional: GGA-PBE
Structure: optimized geometry Values from VASP.

```
&SYSTEM
  ibrav = 0, nat = 5, ntyp = 4
/
ATOMIC_SPECIES
Mg 24.30 Mg.upf
O 16.00 O.upf
Ba 137.33 Ba.upf
Cu 63.55 Cu.upf
CELL_PARAMETERS angstrom
4.784 0.000 0.000
0.000 5.257 0.000
0.000 0.000 3.346
ATOMIC_POSITIONS crystal
Mg 0.000 0.761 0.500
O 0.500 0.988 0.000
Ba 0.500 0.341 0.500
O 0.000 0.532 0.000
Cu 0.000 0.144 0.000
```

Computed properties:
Symmetry = No. 25
DFT formation energy = -1.41 eV/atom

***

[9]
Compound: Ba4MgCu4O8
Source: the Materials Project
Functional: GGA-PBE
Structure: optimized geometry Values from VASP.

```
&SYSTEM
  ibrav = 0, nat = 17, ntyp = 4
/
ATOMIC_SPECIES
O 16.00 O.upf
Ba 137.33 Ba.upf
Mg 24.30 Mg.upf
Cu 63.55 Cu.upf
CELL_PARAMETERS angstrom
-2.221 -5.424 1.738
3.954 -7.215 -11.668
3.047 -0.764 1.509
ATOMIC_POSITIONS crystal
O 0.507 0.244 0.000
Ba 0.708 0.562 0.501
O 0.472 0.992 0.000
O 0.074 0.820 0.999
Mg 0.250 0.750 0.500
Ba 0.249 0.120 0.500
O 0.540 0.444 0.000
Cu 0.765 0.164 0.000
O 0.960 0.056 0.000
Ba 0.792 0.938 0.499
Ba 0.251 0.380 0.500
Cu 0.735 0.336 0.000
O 0.028 0.508 0.000
O 0.993 0.256 0.000
O 0.426 0.681 0.001
Cu 0.222 0.594 0.001
Cu 0.277 0.906 0.000
```

Computed properties:
Symmetry = No. 2
E above lowest polymorph = 1.6 meV/atom
DFT formation energy = -1.95 eV/atom

***

[10]
Compound: BaMg6CuO8
Source: the Materials Project
Functional: GGA-PBE
Structure: optimized geometry Values from VASP.

```
&SYSTEM
  ibrav = 0, nat = 16, ntyp = 4
/
ATOMIC_SPECIES
O 16.00 O.upf
Mg 24.30 Mg.upf
Cu 63.55 Cu.upf
Ba 137.33 Ba.upf
CELL_PARAMETERS angstrom
9.301 0.000 0.000
0.000 4.515 0.000
0.000 0.000 4.515
ATOMIC_POSITIONS crystal
O 0.717 0.500 0.500
Mg 0.278 0.500 0.000
Mg 0.722 0.000 0.500
Mg 0.500 0.000 0.000
O 0.000 0.500 0.000
Mg 0.500 0.500 0.500
O 0.500 0.500 0.000
O 0.500 0.000 0.500
Cu 0.000 0.000 0.000
Mg 0.722 0.500 0.000
Mg 0.278 0.000 0.500
O 0.275 0.000 0.000
O 0.725 0.000 0.000
O 0.000 0.000 0.500
Ba 0.000 0.500 0.500
O 0.283 0.500 0.500
```

Computed properties:
Symmetry = No. 123
E above lowest polymorph = 0.0 meV/atom
DFT formation energy = -2.41 eV/atom

***

[11]
Compound: Ba2MgCuO3
Source: the Materials Project
Functional: GGA-PBE
Structure: optimized geometry Values from VASP.

```
&SYSTEM
  ibrav = 0, nat = 7, ntyp = 4
/
ATOMIC_SPECIES
Cu 63.55 Cu.upf
O 16.00 O.upf
Mg 24.30 Mg.upf
Ba 137.33 Ba.upf
CELL_PARAMETERS angstrom
-3.403 -1.813 -0.130
1.281 -2.194 -2.941
4.428 -4.781 8.041
ATOMIC_POSITIONS crystal
Cu 0.000 0.695 0.000
O 0.807 0.230 0.614
Mg 0.500 0.210 0.000
Ba 0.680 0.099 0.359
O 0.193 0.617 0.386
O 0.000 0.192 0.000
Ba 0.320 0.738 0.640
```

Computed properties:
Symmetry = No. 8
E above lowest polymorph = 35.5 meV/atom
DFT formation energy = -1.91 eV/atom

***

[12]
Compound: Ba4MgCu4O8
Source: the Materials Project
Functional: GGA-PBE
Structure: optimized geometry Values from VASP.

```
&SYSTEM
  ibrav = 0, nat = 17, ntyp = 4
/
ATOMIC_SPECIES
Cu 63.55 Cu.upf
Ba 137.33 Ba.upf
O 16.00 O.upf
Mg 24.30 Mg.upf
CELL_PARAMETERS angstrom
5.959 0.023 0.044
0.048 12.535 0.000
-0.026 0.000 3.542
ATOMIC_POSITIONS crystal
Cu 0.746 0.135 0.000
Ba 0.258 0.378 0.500
O 0.032 0.749 0.000
O 0.514 0.490 0.000
Cu 0.255 0.594 0.000
Ba 0.744 0.899 0.500
O 0.468 0.752 0.001
Ba 0.756 0.601 0.500
O 0.000 0.490 0.000
Cu 0.754 0.366 0.000
Mg 0.250 0.750 0.500
Ba 0.242 0.122 0.500
Cu 0.245 0.906 0.000
O 0.522 0.251 0.000
O 0.986 0.011 0.000
O 0.978 0.250 0.000
O 0.500 0.011 0.000
```

Computed properties:
Symmetry = No. 10
E above lowest polymorph = 109.9 meV/atom
DFT formation energy = -1.84 eV/atom

***

Asked for total DFT energy (no corrections) across the records above, the calculation gives -157.5 -363.2 -14.9 -30.0 -81.0 -80.9 -80.3 -23.2 -92.9 -88.2 -35.7 -91.0 eV per cell in order.